Record 1
This record from Materials Project describes crystalline K2Na2MoW3O12 at its relaxed geometry. The functional is GGA+U.

Summary:
**Calculated formation energy**: -2.157 eV per atom
**E (MP2020)**: -7.855 eV/atom
**Magnetization**: 0.1998 μB/atom

Unit cell a=4.003 b=8.025 c=8.015 alpha=90.00 beta=90.00 gamma=90.00
Space group Pmm2 (No. 25)
Asymmetric unit:
1 K 0.000 0.248 0.000 (multiplicity 2)
2 Na 0.000 0.248 0.501 (multiplicity 2)
3 Mo 0.500 0.000 0.749 (multiplicity 1)
4 W 0.500 0.000 0.252 (multiplicity 1)
5 W 0.500 0.500 0.252 (multiplicity 1)
6 W 0.500 0.500 0.749 (multiplicity 1)
7 O 0.000 0.000 0.254 (multiplicity 1)
8 O 0.000 0.000 0.747 (multiplicity 1)
9 O 0.000 0.500 0.253 (multiplicity 1)
10 O 0.000 0.500 0.748 (multiplicity 1)
11 O 0.500 0.000 0.010 (multiplicity 1)
12 O 0.500 0.000 0.492 (multiplicity 1)
13 O 0.500 0.259 0.253 (multiplicity 2)
14 O 0.500 0.260 0.747 (multiplicity 2)
15 O 0.500 0.500 0.001 (multiplicity 1)
16 O 0.500 0.500 0.500 (multiplicity 1)

=====

Record 2
This record from Materials Project describes crystalline K2Na2MoW3O10 at its relaxed geometry. The functional is GGA+U.

Summary:
**Calculated formation energy**: -1.802 eV per atom
**E (MP2020)**: -7.583 eV/atom
**Magnetization**: 0.4441 μB/atom

Unit cell a=11.575 b=11.754 c=17.557 alpha=70.48 beta=70.92 gamma=89.96
Space group P1 (No. 1)
Asymmetric unit:
1 K 0.000 0.000 0.000 (multiplicity 1)
2 K 0.000 0.498 0.997 (multiplicity 1)
3 K 0.101 0.579 0.287 (multiplicity 1)
4 K 0.113 0.586 0.775 (multiplicity 1)
5 K 0.248 0.225 0.000 (multiplicity 1)
6 K 0.251 0.732 0.998 (multiplicity 1)
7 K 0.351 0.358 0.285 (multiplicity 1)
8 K 0.361 0.364 0.774 (multiplicity 1)
9 K 0.494 0.998 0.002 (multiplicity 1)
10 K 0.501 0.501 0.997 (multiplicity 1)
11 K 0.611 0.589 0.774 (multiplicity 1)
12 K 0.748 0.229 0.002 (multiplicity 1)
13 K 0.749 0.730 0.000 (multiplicity 1)
14 K 0.851 0.855 0.288 (multiplicity 1)
15 K 0.854 0.359 0.286 (multiplicity 1)
16 K 0.861 0.864 0.776 (multiplicity 1)
17 Na 0.000 0.506 0.494 (multiplicity 1)
18 Na 0.002 0.007 0.494 (multiplicity 1)
19 Na 0.099 0.077 0.300 (multiplicity 1)
20 Na 0.106 0.080 0.789 (multiplicity 1)
21 Na 0.252 0.729 0.492 (multiplicity 1)
22 Na 0.254 0.222 0.495 (multiplicity 1)
23 Na 0.349 0.853 0.298 (multiplicity 1)
24 Na 0.354 0.858 0.790 (multiplicity 1)
25 Na 0.502 0.010 0.495 (multiplicity 1)
26 Na 0.503 0.506 0.493 (multiplicity 1)
27 Na 0.600 0.074 0.299 (multiplicity 1)
28 Na 0.602 0.575 0.296 (multiplicity 1)
29 Na 0.604 0.080 0.789 (multiplicity 1)
30 Na 0.752 0.225 0.495 (multiplicity 1)
31 Na 0.755 0.724 0.494 (multiplicity 1)
32 Na 0.856 0.359 0.789 (multiplicity 1)
33 Mo 0.039 0.286 0.399 (multiplicity 1)
34 Mo 0.049 0.294 0.886 (multiplicity 1)
35 Mo 0.049 0.796 0.887 (multiplicity 1)
36 Mo 0.298 0.043 0.887 (multiplicity 1)
37 Mo 0.300 0.548 0.885 (multiplicity 1)
38 Mo 0.547 0.294 0.888 (multiplicity 1)
39 Mo 0.550 0.797 0.886 (multiplicity 1)
40 Mo 0.800 0.544 0.886 (multiplicity 1)
41 W 0.037 0.790 0.399 (multiplicity 1)
42 W 0.205 0.380 0.142 (multiplicity 1)
43 W 0.206 0.889 0.152 (multiplicity 1)
44 W 0.217 0.384 0.632 (multiplicity 1)
45 W 0.217 0.892 0.641 (multiplicity 1)
46 W 0.288 0.038 0.398 (multiplicity 1)
47 W 0.288 0.542 0.396 (multiplicity 1)
48 W 0.454 0.183 0.151 (multiplicity 1)
49 W 0.457 0.699 0.148 (multiplicity 1)
50 W 0.466 0.194 0.640 (multiplicity 1)
51 W 0.466 0.709 0.630 (multiplicity 1)
52 W 0.537 0.290 0.397 (multiplicity 1)
53 W 0.538 0.790 0.395 (multiplicity 1)
54 W 0.697 0.887 0.146 (multiplicity 1)
55 W 0.701 0.383 0.145 (multiplicity 1)
56 W 0.712 0.893 0.636 (multiplicity 1)
57 W 0.719 0.380 0.639 (multiplicity 1)
58 W 0.785 0.041 0.398 (multiplicity 1)
59 W 0.788 0.539 0.399 (multiplicity 1)
60 W 0.797 0.048 0.885 (multiplicity 1)
61 W 0.955 0.700 0.142 (multiplicity 1)
62 W 0.957 0.191 0.149 (multiplicity 1)
63 W 0.966 0.703 0.635 (multiplicity 1)
64 W 0.969 0.203 0.638 (multiplicity 1)
65 O 0.105 0.376 0.257 (multiplicity 1)
66 O 0.106 0.901 0.260 (multiplicity 1)
67 O 0.111 0.213 0.165 (multiplicity 1)
68 O 0.111 0.379 0.747 (multiplicity 1)
69 O 0.114 0.747 0.142 (multiplicity 1)
70 O 0.114 0.899 0.750 (multiplicity 1)
71 O 0.136 0.222 0.642 (multiplicity 1)
72 O 0.136 0.752 0.623 (multiplicity 1)
73 O 0.154 0.402 0.418 (multiplicity 1)
74 O 0.155 0.906 0.414 (multiplicity 1)
75 O 0.170 0.915 0.895 (multiplicity 1)
76 O 0.171 0.169 0.382 (multiplicity 1)
77 O 0.171 0.415 0.896 (multiplicity 1)
78 O 0.172 0.676 0.384 (multiplicity 1)
79 O 0.179 0.173 0.874 (multiplicity 1)
80 O 0.182 0.679 0.876 (multiplicity 1)
81 O 0.213 0.010 0.532 (multiplicity 1)
82 O 0.214 0.516 0.532 (multiplicity 1)
83 O 0.227 0.495 0.030 (multiplicity 1)
84 O 0.228 0.983 0.031 (multiplicity 1)
85 O 0.347 0.587 0.259 (multiplicity 1)
86 O 0.351 0.066 0.259 (multiplicity 1)
87 O 0.363 0.079 0.749 (multiplicity 1)
88 O 0.363 0.844 0.165 (multiplicity 1)
89 O 0.366 0.601 0.747 (multiplicity 1)
90 O 0.368 0.337 0.139 (multiplicity 1)
91 O 0.382 0.860 0.644 (multiplicity 1)
92 O 0.388 0.354 0.621 (multiplicity 1)
93 O 0.405 0.904 0.414 (multiplicity 1)
94 O 0.406 0.410 0.413 (multiplicity 1)
95 O 0.419 0.417 0.896 (multiplicity 1)
96 O 0.421 0.916 0.894 (multiplicity 1)
97 O 0.423 0.168 0.382 (multiplicity 1)
98 O 0.424 0.676 0.375 (multiplicity 1)
99 O 0.430 0.170 0.877 (multiplicity 1)
100 O 0.430 0.679 0.875 (multiplicity 1)
101 O 0.461 0.185 0.532 (multiplicity 1)
102 O 0.461 0.680 0.531 (multiplicity 1)
103 O 0.479 0.210 0.029 (multiplicity 1)
104 O 0.482 0.708 0.032 (multiplicity 1)
105 O 0.600 0.900 0.257 (multiplicity 1)
106 O 0.606 0.394 0.258 (multiplicity 1)
107 O 0.608 0.217 0.167 (multiplicity 1)
108 O 0.609 0.381 0.750 (multiplicity 1)
109 O 0.616 0.723 0.160 (multiplicity 1)
110 O 0.617 0.895 0.748 (multiplicity 1)
111 O 0.631 0.226 0.642 (multiplicity 1)
112 O 0.637 0.749 0.620 (multiplicity 1)
113 O 0.653 0.906 0.414 (multiplicity 1)
114 O 0.655 0.406 0.414 (multiplicity 1)
115 O 0.668 0.917 0.897 (multiplicity 1)
116 O 0.669 0.670 0.384 (multiplicity 1)
117 O 0.670 0.172 0.381 (multiplicity 1)
118 O 0.672 0.414 0.896 (multiplicity 1)
119 O 0.678 0.177 0.875 (multiplicity 1)
120 O 0.680 0.676 0.877 (multiplicity 1)
121 O 0.703 0.016 0.532 (multiplicity 1)
122 O 0.714 0.505 0.535 (multiplicity 1)
123 O 0.723 0.993 0.027 (multiplicity 1)
124 O 0.724 0.492 0.031 (multiplicity 1)
125 O 0.846 0.083 0.260 (multiplicity 1)
126 O 0.851 0.097 0.749 (multiplicity 1)
127 O 0.852 0.593 0.259 (multiplicity 1)
128 O 0.858 0.842 0.147 (multiplicity 1)
129 O 0.864 0.339 0.141 (multiplicity 1)
130 O 0.871 0.586 0.748 (multiplicity 1)
131 O 0.881 0.857 0.625 (multiplicity 1)
132 O 0.887 0.358 0.641 (multiplicity 1)
133 O 0.904 0.404 0.418 (multiplicity 1)
134 O 0.904 0.907 0.416 (multiplicity 1)
135 O 0.919 0.415 0.895 (multiplicity 1)
136 O 0.920 0.167 0.387 (multiplicity 1)
137 O 0.920 0.919 0.896 (multiplicity 1)
138 O 0.921 0.669 0.386 (multiplicity 1)
139 O 0.929 0.177 0.874 (multiplicity 1)
140 O 0.930 0.674 0.877 (multiplicity 1)
141 O 0.958 0.679 0.532 (multiplicity 1)
142 O 0.966 0.180 0.535 (multiplicity 1)
143 O 0.979 0.703 0.027 (multiplicity 1)
144 O 0.981 0.210 0.028 (multiplicity 1)

=====

Record 3
This record from Materials Project describes crystalline K3Nb4Mo4P12O48 at its relaxed geometry. The functional is GGA+U.

Summary:
**Calculated formation energy**: -1.872 eV per atom
**E (MP2020)**: -7.359 eV/atom
**Magnetization**: 0.1267 μB/atom

Unit cell a=9.061 b=10.396 c=12.151 alpha=90.33 beta=90.34 gamma=90.88
Space group P1 (No. 1)
Asymmetric unit:
1 K 0.000 0.000 0.000 (multiplicity 1)
2 K 0.024 0.172 0.498 (multiplicity 1)
3 K 0.329 0.495 0.999 (multiplicity 1)
4 Nb 0.411 0.344 0.655 (multiplicity 1)
5 Nb 0.415 0.850 0.191 (multiplicity 1)
6 Nb 0.420 0.325 0.309 (multiplicity 1)
7 Nb 0.965 0.836 0.656 (multiplicity 1)
8 Mo 0.439 0.838 0.857 (multiplicity 1)
9 Mo 0.953 0.331 0.842 (multiplicity 1)
10 Mo 0.968 0.349 0.154 (multiplicity 1)
11 Mo 0.969 0.813 0.336 (multiplicity 1)
12 P 0.172 0.083 0.246 (multiplicity 1)
13 P 0.192 0.080 0.761 (multiplicity 1)
14 P 0.197 0.594 0.762 (multiplicity 1)
15 P 0.218 0.580 0.255 (multiplicity 1)
16 P 0.634 0.484 0.754 (multiplicity 1)
17 P 0.635 0.690 0.344 (multiplicity 1)
18 P 0.645 0.688 0.756 (multiplicity 1)
19 P 0.668 0.461 0.160 (multiplicity 1)
20 P 0.733 0.190 0.738 (multiplicity 1)
21 P 0.740 0.987 0.743 (multiplicity 1)
22 P 0.741 0.204 0.265 (multiplicity 1)
23 P 0.750 0.999 0.209 (multiplicity 1)
24 O 0.015 0.357 0.005 (multiplicity 1)
25 O 0.015 0.753 0.084 (multiplicity 1)
26 O 0.073 0.166 0.171 (multiplicity 1)
27 O 0.088 0.996 0.326 (multiplicity 1)
28 O 0.092 0.153 0.840 (multiplicity 1)
29 O 0.103 0.502 0.829 (multiplicity 1)
30 O 0.104 0.000 0.670 (multiplicity 1)
31 O 0.104 0.699 0.700 (multiplicity 1)
32 O 0.123 0.661 0.331 (multiplicity 1)
33 O 0.142 0.483 0.178 (multiplicity 1)
34 O 0.265 0.996 0.166 (multiplicity 1)
35 O 0.267 0.177 0.321 (multiplicity 1)
36 O 0.277 0.347 0.525 (multiplicity 1)
37 O 0.285 0.978 0.820 (multiplicity 1)
38 O 0.287 0.511 0.679 (multiplicity 1)
39 O 0.288 0.188 0.703 (multiplicity 1)
40 O 0.297 0.678 0.841 (multiplicity 1)
41 O 0.310 0.673 0.178 (multiplicity 1)
42 O 0.321 0.495 0.330 (multiplicity 1)
43 O 0.363 0.878 0.444 (multiplicity 1)
44 O 0.387 0.259 0.058 (multiplicity 1)
45 O 0.387 0.865 0.339 (multiplicity 1)
46 O 0.406 0.301 0.159 (multiplicity 1)
47 O 0.424 0.302 0.490 (multiplicity 1)
48 O 0.425 0.848 0.002 (multiplicity 1)
49 O 0.497 0.419 0.810 (multiplicity 1)
50 O 0.513 0.756 0.702 (multiplicity 1)
51 O 0.580 0.211 0.686 (multiplicity 1)
52 O 0.582 0.982 0.179 (multiplicity 1)
53 O 0.590 0.968 0.803 (multiplicity 1)
54 O 0.598 0.206 0.333 (multiplicity 1)
55 O 0.602 0.450 0.629 (multiplicity 1)
56 O 0.602 0.731 0.221 (multiplicity 1)
57 O 0.606 0.450 0.281 (multiplicity 1)
58 O 0.629 0.725 0.880 (multiplicity 1)
59 O 0.731 0.275 0.148 (multiplicity 1)
60 O 0.757 0.216 0.863 (multiplicity 1)
61 O 0.767 0.938 0.623 (multiplicity 1)
62 O 0.782 0.463 0.809 (multiplicity 1)
63 O 0.787 0.933 0.321 (multiplicity 1)
64 O 0.798 0.706 0.702 (multiplicity 1)
65 O 0.802 0.674 0.361 (multiplicity 1)
66 O 0.835 0.502 0.173 (multiplicity 1)
67 O 0.865 0.254 0.678 (multiplicity 1)
68 O 0.873 0.931 0.807 (multiplicity 1)
69 O 0.879 0.263 0.320 (multiplicity 1)
70 O 0.955 0.814 0.167 (multiplicity 1)
71 O 0.985 0.822 0.510 (multiplicity 1)

=====

Record 4
This record from Materials Project describes crystalline K3Nb4Mo4P12O48 at its relaxed geometry. The functional is GGA+U.

Summary:
**Calculated formation energy**: -2.679 eV per atom
**E (MP2020)**: -8.166 eV/atom
**Magnetization**: 0.1571 μB/atom

Unit cell a=9.024 b=12.657 c=9.335 alpha=90.00 beta=90.22 gamma=90.00
Space group Pm (No. 6)
Asymmetric unit:
1 K 0.000 0.000 0.000 (multiplicity 1)
2 K 0.005 0.500 0.179 (multiplicity 1)
3 K 0.673 0.000 0.501 (multiplicity 1)
4 Nb 0.082 0.350 0.810 (multiplicity 2)
5 Nb 0.591 0.350 0.313 (multiplicity 2)
6 Mo 0.085 0.147 0.364 (multiplicity 2)
7 Mo 0.587 0.147 0.864 (multiplicity 2)
8 P 0.239 0.117 0.704 (multiplicity 2)
9 P 0.239 0.381 0.469 (multiplicity 2)
10 P 0.433 0.116 0.203 (multiplicity 2)
11 P 0.434 0.382 0.969 (multiplicity 2)
12 P 0.808 0.249 0.586 (multiplicity 2)
13 P 0.865 0.249 0.085 (multiplicity 2)
14 O 0.021 0.000 0.346 (multiplicity 1)
15 O 0.048 0.500 0.819 (multiplicity 1)
16 O 0.137 0.316 0.376 (multiplicity 2)
17 O 0.139 0.189 0.796 (multiplicity 2)
18 O 0.183 0.000 0.755 (multiplicity 1)
19 O 0.192 0.500 0.423 (multiplicity 1)
20 O 0.215 0.126 0.545 (multiplicity 2)
21 O 0.215 0.371 0.631 (multiplicity 2)
22 O 0.267 0.371 0.936 (multiplicity 2)
23 O 0.270 0.127 0.235 (multiplicity 2)
24 O 0.402 0.126 0.735 (multiplicity 2)
25 O 0.405 0.370 0.435 (multiplicity 2)
26 O 0.457 0.125 0.045 (multiplicity 2)
27 O 0.460 0.371 0.132 (multiplicity 2)
28 O 0.481 0.500 0.925 (multiplicity 1)
29 O 0.490 0.000 0.257 (multiplicity 1)
30 O 0.533 0.313 0.879 (multiplicity 2)
31 O 0.534 0.190 0.294 (multiplicity 2)
32 O 0.627 0.500 0.314 (multiplicity 1)
33 O 0.651 0.000 0.844 (multiplicity 1)
34 O 0.705 0.182 0.674 (multiplicity 2)
35 O 0.712 0.323 0.485 (multiplicity 2)
36 O 0.769 0.324 0.182 (multiplicity 2)
37 O 0.774 0.177 0.990 (multiplicity 2)
38 O 0.899 0.177 0.491 (multiplicity 2)
39 O 0.907 0.322 0.681 (multiplicity 2)
40 O 0.961 0.326 0.990 (multiplicity 2)
41 O 0.968 0.181 0.174 (multiplicity 2)

=====

Record 5
This record from Materials Project describes crystalline KNdMo2O8 at its relaxed geometry. The functional is GGA+U.

Summary:
**Calculated formation energy**: -2.513 eV per atom
**E (MP2020)**: -8.109 eV/atom
**Magnetization**: 0.0000 μB/atom

Unit cell a=10.951 b=10.659 c=7.935 alpha=90.00 beta=131.52 gamma=90.00
Space group C2/c (No. 15)
Asymmetric unit:
1 K 0.000 0.200 0.250 (multiplicity 4)
2 Nd 0.000 0.230 0.750 (multiplicity 4)
3 Mo 0.195 0.498 0.239 (multiplicity 8)
4 O 0.025 0.394 0.975 (multiplicity 8)
5 O 0.129 0.077 0.690 (multiplicity 8)
6 O 0.191 0.424 0.437 (multiplicity 8)
7 O 0.229 0.156 0.131 (multiplicity 8)

=====

Record 6
This record from Materials Project describes crystalline K2NiMo2O8 at its relaxed geometry. The functional is GGA+U.

Summary:
**Calculated formation energy**: -2.017 eV per atom
**E (MP2020)**: -7.346 eV/atom
**Magnetization**: 0.1538 μB/atom

Unit cell a=8.594 b=19.363 c=11.068 alpha=90.00 beta=90.00 gamma=90.00
Space group Cmce (No. 64)
Asymmetric unit:
1 K 0.000 0.131 0.070 (multiplicity 8)
2 K 0.250 0.214 0.750 (multiplicity 8)
3 Ni 0.178 0.000 0.500 (multiplicity 8)
4 Mo 0.000 0.031 0.784 (multiplicity 8)
5 Mo 0.000 0.157 0.465 (multiplicity 8)
6 O 0.000 0.001 0.373 (multiplicity 8)
7 O 0.000 0.123 0.794 (multiplicity 8)
8 O 0.000 0.185 0.310 (multiplicity 8)
9 O 0.000 0.233 0.557 (multiplicity 8)
10 O 0.163 0.002 0.135 (multiplicity 16)
11 O 0.176 0.109 0.499 (multiplicity 16)

=====

Record 7
This record from Materials Project describes crystalline K3NpMo2O10 at its relaxed geometry. The functional is GGA+U.

Summary:
**Calculated formation energy**: -2.474 eV per atom
**E (MP2020)**: -7.939 eV/atom
**Magnetization**: 0.1250 μB/atom

Unit cell a=7.494 b=8.075 c=10.459 alpha=91.98 beta=94.27 gamma=109.09
Space group P-1 (No. 2)
Asymmetric unit:
1 K 0.212 0.337 0.234 (multiplicity 2)
2 K 0.266 0.618 0.593 (multiplicity 2)
3 K 0.281 0.114 0.928 (multiplicity 2)
4 Np 0.145 0.796 0.260 (multiplicity 2)
5 Mo 0.250 0.609 0.936 (multiplicity 2)
6 Mo 0.303 0.129 0.575 (multiplicity 2)
7 O 0.087 0.382 0.919 (multiplicity 2)
8 O 0.101 0.589 0.345 (multiplicity 2)
9 O 0.163 0.186 0.693 (multiplicity 2)
10 O 0.163 0.754 0.844 (multiplicity 2)
11 O 0.175 0.925 0.485 (multiplicity 2)
12 O 0.176 0.998 0.171 (multiplicity 2)
13 O 0.316 0.693 0.103 (multiplicity 2)
14 O 0.367 0.302 0.468 (multiplicity 2)
15 O 0.462 0.613 0.869 (multiplicity 2)
16 O 0.485 0.890 0.343 (multiplicity 2)